i) Here is a geometry-optimized KRbMg14O15 structure from the Materials Project. Energies are from PBE.

The structure in POSCAR format:
```
KRbMg14O15
1.0
9.087 0.000 0.000
0.000 8.958 0.000
0.000 0.000 4.332
K Rb Mg O
1 1 14 15
direct
0.103 0.000 0.000
0.953 0.500 0.000
0.521 0.000 0.000
0.485 0.500 0.000
0.011 0.249 0.500
0.011 0.751 0.500
0.490 0.236 0.500
0.490 0.764 0.500
0.259 0.000 0.500
0.260 0.500 0.500
0.785 0.000 0.500
0.705 0.500 0.500
0.237 0.284 0.000
0.237 0.716 0.000
0.768 0.233 0.000
0.768 0.767 0.000
0.272 0.500 0.000
0.738 0.000 0.000
0.691 0.500 0.000
0.249 0.228 0.500
0.249 0.772 0.500
0.747 0.251 0.500
0.747 0.749 0.500
0.006 0.000 0.500
0.053 0.500 0.500
0.481 0.000 0.500
0.482 0.500 0.500
0.007 0.236 0.000
0.007 0.764 0.000
0.468 0.227 0.000
0.468 0.773 0.000
```

ii) Here is a geometry-optimized KRbMg14O15 structure from the Materials Project. Energies are from PBE.

The structure in POSCAR format:
```
KRbMg14O15
1.0
-2.426 2.176 -2.751
-2.681 -7.382 -3.477
-7.316 -0.278 6.232
K Rb Mg O
1 1 14 15
direct
0.000 0.000 0.034
0.000 0.500 0.596
0.000 0.500 0.031
0.000 0.000 0.501
0.500 0.759 0.996
0.500 0.241 0.996
0.500 0.736 0.505
0.500 0.264 0.505
0.500 0.000 0.730
0.500 0.500 0.810
0.500 0.000 0.289
0.500 0.500 0.248
0.000 0.779 0.748
0.000 0.221 0.748
0.000 0.744 0.285
0.000 0.256 0.285
0.000 0.000 0.717
0.000 0.000 0.288
0.000 0.500 0.234
0.500 0.716 0.727
0.500 0.284 0.727
0.500 0.764 0.228
0.500 0.236 0.228
0.500 0.000 0.935
0.500 0.500 0.012
0.500 0.000 0.507
0.500 0.500 0.456
0.000 0.709 0.943
0.000 0.291 0.943
0.000 0.766 0.498
0.000 0.234 0.498
```

Tell me which of them is the most stable. Sure, it is ii).